{
  "formula": "K3HWS4O",
  "functional": "GGA+U",
  "state": "optimized geometry",
  "m_tot_mub_per_fu": 0.00,
  "delta_e_f_ev_per_fu": -11.9,
  "e_tot_ev_per_atom": -4.60,
  "space_group": "Pmn2_1",
  "lattice": [[9.721, 0.000, 0.000], [0.000, 6.540, 0.000], [0.000, 0.000, 8.355]],
  "species": ["K", "K", "K", "K", "K", "K", "H", "H", "W", "W", "S", "S", "S", "S", "S", "S", "S", "S", "O", "O"],
  "frac_coords": [[0.000, 0.003, 0.000], [0.227, 0.606, 0.748], [0.273, 0.394, 0.248], [0.500, 0.997, 0.500], [0.727, 0.394, 0.248], [0.773, 0.606, 0.748], [0.000, 0.613, 0.163], [0.500, 0.387, 0.663], [0.000, 0.998, 0.494], [0.500, 0.002, 0.994], [0.000, 0.338, 0.526], [0.000, 0.501, 0.027], [0.187, 0.906, 0.355], [0.313, 0.094, 0.855], [0.500, 0.499, 0.527], [0.500, 0.662, 0.026], [0.687, 0.094, 0.855], [0.813, 0.906, 0.355], [0.000, 0.870, 0.685], [0.500, 0.130, 0.185]]
}